(1)
Compound: TlCr5S8
Source: Materials Project
Functional: GGA-PBE
Structure: optimized geometry

Cell and atoms, written as extended XYZ:
```
14
Lattice="-8.230 -2.742 -2.993 -6.121 -4.785 -4.883 -2.052 -6.788 5.049" Properties=species:S:1:pos:R:3 pbc="T T T"
Tl 0.000 0.000 0.000
Cr -8.201 -7.158 -1.414
Cr -3.259 -2.651 -0.771
Cr -13.144 -11.664 -2.056
Cr -13.048 -9.555 -4.231
Cr -3.355 -4.760 1.403
S -6.738 -9.181 2.408
S -9.665 -5.134 -5.235
S -11.292 -7.887 -4.073
S -5.111 -6.428 1.246
S -6.621 -5.354 -1.601
S -9.782 -8.961 -1.227
S -1.813 -2.950 1.166
S -14.590 -11.365 -3.994
```

Total DFT energy (no corrections) ... -6.666 eV/atom
Theoretical density ... 4.5 Mg/m³
Crystal system ... monoclinic

=====

(2)
Compound: Zr5InPb3
Source: Materials Project
Functional: GGA-PBE
Structure: optimized geometry

Cell and atoms, written as extended XYZ:
```
18
Lattice="4.491 -7.779 0.000 4.491 7.779 0.000 0.000 0.000 6.029" Properties=species:S:1:pos:R:3 pbc="T T T"
Zr 4.491 -2.593 0.000
Zr 4.491 2.593 0.000
Zr 4.491 2.593 3.015
Zr 4.491 -2.593 3.015
Zr 6.475 0.000 4.522
Zr 1.254 -2.172 4.522
Zr 1.254 2.172 4.522
Zr 2.507 0.000 1.507
Zr 3.238 -5.608 1.507
Zr 3.238 5.608 1.507
In 0.000 0.000 0.000
In 0.000 0.000 3.015
Pb 3.438 0.000 4.522
Pb 2.772 -4.802 4.522
Pb 2.772 4.802 4.522
Pb 5.545 0.000 1.507
Pb 1.719 -2.977 1.507
Pb 1.719 2.977 1.507
```

Total DFT energy (no corrections) ... -6.578 eV/atom
Theoretical density ... 9.4 Mg/m³
Crystal system ... hexagonal

=====

(3)
Compound: Gd4B3C4
Source: Materials Project
Functional: GGA-PBE
Structure: optimized geometry

Cell and atoms, written as extended XYZ:
```
11
Lattice="3.616 0.000 0.000 -0.012 3.667 0.000 -1.732 -0.558 11.868" Properties=species:S:1:pos:R:3 pbc="T T T"
Gd 0.140 3.386 4.144
Gd 1.732 -0.277 7.723
Gd 1.948 1.558 1.621
Gd -0.076 1.551 10.247
B 0.000 0.000 0.000
B 2.076 1.550 5.397
B -0.204 1.559 6.471
C 0.129 3.392 1.443
C 1.743 -0.283 10.425
C 1.961 1.547 3.921
C -0.089 1.562 7.947
```

Total DFT energy (no corrections) ... -10.709 eV/atom
Theoretical density ... 7.5 Mg/m³
Crystal system ... triclinic

=====

(4)
Compound: TaN
Source: Materials Project
Functional: GGA-PBE
Structure: optimized geometry

Cell and atoms, written as extended XYZ:
```
100
Lattice="-1.765 10.727 2.714 -10.850 -2.076 -0.802 -1.554 -2.860 10.483" Properties=species:S:1:pos:R:3 pbc="T T T"
Ta -8.207 5.902 2.449
Ta -10.037 0.395 1.250
Ta -7.584 3.028 2.913
Ta -11.624 8.050 4.169
Ta -10.252 -2.715 9.136
Ta -8.220 9.130 3.028
Ta -1.802 1.570 4.908
Ta -2.370 2.269 1.791
Ta -3.557 5.982 11.487
Ta -12.797 6.350 6.236
Ta -2.403 -1.902 10.221
Ta -9.448 -1.960 4.472
Ta -11.280 6.652 9.295
Ta -7.362 1.735 8.727
Ta -6.246 4.353 9.121
Ta -4.597 1.431 3.456
Ta -6.461 7.135 4.306
Ta -12.054 1.909 11.312
Ta -3.473 3.015 6.966
Ta -4.033 -0.176 1.003
Ta -12.575 3.606 5.316
Ta -6.627 1.375 0.645
Ta -12.225 1.421 8.043
Ta -9.758 0.090 9.154
Ta -10.944 -1.074 6.791
Ta -6.718 5.526 12.341
Ta -2.385 -0.629 3.263
Ta -7.799 0.028 3.112
Ta -4.158 -0.706 5.830
Ta -1.374 4.633 3.277
Ta -5.324 -1.556 3.368
Ta -9.366 4.903 10.464
Ta -12.548 4.216 8.253
Ta -9.765 4.444 4.536
Ta -4.155 4.443 4.382
Ta -6.017 1.976 5.923
Ta -3.406 6.205 1.595
Ta -9.340 7.264 5.292
Ta -12.075 5.111 11.893
Ta -9.742 3.100 7.959
Ta -4.564 1.169 9.054
Ta -6.094 7.403 9.815
Ta -3.578 7.640 4.444
Ta -5.132 3.834 1.241
Ta -7.181 -2.902 7.977
Ta -9.589 1.559 5.422
Ta -4.892 7.268 7.096
Ta -7.167 -0.875 5.850
Ta -1.566 -1.692 7.087
Ta -12.734 -1.080 9.396
N -8.641 -2.185 6.479
N -5.963 6.059 8.229
N -7.672 6.255 10.557
N -4.451 1.901 1.356
N -1.456 6.204 1.891
N -4.664 7.786 11.150
N -9.579 -1.019 2.643
N -6.012 -0.174 2.019
N -7.899 0.290 10.038
N -1.983 -0.615 5.335
N -8.138 3.662 9.239
N -3.295 4.175 2.397
N -5.224 4.970 10.722
N -0.965 2.532 3.330
N -3.118 2.403 9.167
N -7.288 -2.017 4.007
N -5.858 2.268 10.352
N -10.239 0.972 7.314
N -5.676 -1.812 6.935
N -3.718 2.403 5.011
N -5.836 3.183 4.122
N -8.112 5.797 4.529
N -9.863 -1.250 -0.146
N -6.985 7.579 2.177
N -12.209 -2.435 7.946
N -7.435 0.816 6.931
N -6.952 -2.701 9.942
N -13.085 2.786 9.539
N -1.964 0.154 1.251
N -3.716 -0.225 10.138
N -2.541 4.749 7.632
N -9.403 4.133 2.509
N -10.579 6.547 11.423
N -8.473 1.589 1.735
N -1.666 2.137 6.948
N -12.925 5.440 9.980
N -10.567 4.804 8.710
N -11.468 0.618 9.941
N -9.143 3.456 6.166
N -5.689 3.110 7.646
N -11.205 5.744 5.062
N -2.544 5.998 4.289
N -6.663 4.758 2.076
N -3.199 8.217 2.602
N -4.436 0.933 7.046
N -5.036 6.164 5.358
N -3.332 7.424 8.342
N -7.847 1.620 4.444
N -10.772 3.559 11.217
N -11.020 2.599 4.344
```

Total DFT energy (no corrections) ... -10.765 eV/atom
Theoretical density ... 12.0 Mg/m³
Spin magnetization ... 0.0 μB/f.u.
Crystal system ... triclinic

=====

(5)
Compound: NaY2Zr2P3S3O24
Source: Materials Project
Functional: GGA-PBE
Structure: optimized geometry

Cell and atoms, written as extended XYZ:
```
105
Lattice="-0.250 8.994 -1.256 -7.207 -4.318 3.473 8.671 3.286 21.833" Properties=species:S:1:pos:R:3 pbc="T T T"
Na 4.648 7.385 18.519
Na 0.258 5.589 7.575
Na -3.478 0.734 5.593
Y 3.393 6.866 15.326
Y -0.913 5.071 4.379
Y 6.034 7.825 21.787
Y 1.570 6.105 10.813
Y -2.180 1.164 8.704
Y 2.123 2.712 19.567
Zr -4.074 -3.033 11.185
Zr 7.166 11.729 17.445
Zr -1.759 6.792 16.356
Zr -6.183 5.136 5.388
Zr -4.637 0.221 2.307
Zr -0.357 1.759 13.135
P -5.110 -0.932 8.552
P -3.171 4.181 7.043
P 1.105 8.344 17.643
P 6.325 8.901 15.492
P 0.316 6.109 1.114
P -1.755 2.159 2.507
P 5.212 1.771 21.241
P 0.831 2.716 9.950
P -1.208 -1.125 11.335
S -0.122 8.577 5.196
S 4.402 3.806 17.005
S 2.423 9.153 12.677
S 4.711 5.088 12.397
S 0.358 5.171 14.091
S -4.056 6.230 2.802
S 2.984 5.745 21.528
S 0.969 1.851 22.909
S -3.435 2.881 11.636
O 2.433 2.670 6.436
O -3.414 4.928 8.397
O 1.054 9.014 5.980
O 5.616 3.689 17.849
O 0.884 7.937 19.120
O 6.570 10.001 16.572
O -1.252 5.323 17.631
O 4.580 3.064 15.719
O 0.097 -1.123 18.077
O -4.439 4.348 6.160
O 0.266 -0.045 5.018
O -5.415 -2.020 7.497
O 2.639 8.500 13.977
O 4.557 5.877 13.629
O 1.556 5.535 14.854
O -2.843 6.197 3.619
O 0.215 5.645 2.563
O -1.631 3.167 3.644
O -2.048 2.801 1.159
O -3.939 5.456 1.564
O -0.927 5.761 0.298
O 3.491 5.147 11.587
O 0.450 5.634 12.705
O 2.237 8.165 11.617
O 3.251 5.079 22.840
O 5.005 2.583 22.569
O 2.168 2.266 23.683
O -2.200 2.738 12.487
O 0.629 2.309 11.478
O -0.954 -0.032 12.457
O -1.486 -0.441 10.020
O -3.304 2.086 10.414
O -0.427 2.352 9.195
O 3.966 1.902 20.378
O 1.080 2.276 21.507
O 2.742 4.756 20.477
O -2.423 -1.980 11.775
O -3.659 4.297 11.323
O 2.063 1.986 9.381
O 6.416 2.377 20.442
O 0.817 0.371 22.970
O 1.755 6.586 21.701
O 3.583 10.031 12.371
O 4.982 3.669 12.780
O -0.831 5.842 14.714
O -5.214 5.708 3.561
O 0.532 7.642 1.090
O -0.503 1.261 2.459
O 5.127 8.049 15.947
O 4.183 5.240 16.722
O 2.355 7.638 17.093
O -1.935 4.800 6.374
O -0.269 7.118 5.341
O 0.882 4.279 5.376
O 4.100 6.616 21.150
O 5.249 9.291 20.284
O 6.951 6.787 19.984
O 2.613 6.664 8.912
O 1.045 4.235 9.888
O -0.222 6.974 9.972
O -2.998 1.238 2.874
O -4.087 -1.323 3.714
O -5.653 1.095 3.898
O -1.356 1.297 15.069
O 0.136 3.703 14.122
O 1.441 1.005 14.030
O -3.925 -0.088 8.072
O -2.970 2.675 7.278
O -1.109 0.242 6.927
O 3.234 3.259 17.683
O 1.463 0.847 18.732
O 0.359 3.752 18.765
```

Total DFT energy (no corrections) ... -7.517 eV/atom
Theoretical density ... 2.8 Mg/m³
Spin magnetization ... 0.0 μB/f.u.
Crystal system ... triclinic

=====

(6)
Compound: SiO2
Source: Materials Project
Functional: GGA-PBE
Structure: optimized geometry

Cell and atoms, written as extended XYZ:
```
144
Lattice="12.869 8.826 3.090 -7.921 -9.920 9.586 5.969 -10.282 -10.568" Properties=species:S:1:pos:R:3 pbc="T T T"
Si 11.258 7.374 3.593
Si 8.472 -5.554 5.563
Si 3.790 -6.120 -0.009
Si 11.341 -3.443 -2.623
Si 5.321 -6.885 2.680
Si 5.819 -2.300 2.714
Si 8.438 -3.219 -1.470
Si 4.251 -4.194 -4.020
Si 4.245 -5.357 7.398
Si 1.308 -1.678 -0.655
Si 12.863 -2.517 -5.202
Si 10.102 -5.001 2.940
Si 8.754 -2.500 1.617
Si 13.617 0.262 -0.043
Si 1.286 -5.128 8.573
Si 11.814 1.449 -2.385
Si 0.049 -14.044 -1.268
Si 12.481 -4.830 -7.288
Si 5.568 -4.515 4.788
Si 6.126 0.874 2.868
Si 9.609 -9.699 2.763
Si 6.283 2.887 5.148
Si -6.310 -8.468 9.083
Si 8.286 -7.204 1.485
Si 5.707 -1.964 -2.361
Si -1.335 -3.982 7.528
Si 10.843 2.673 3.313
Si 4.500 2.068 0.431
Si 9.055 0.614 1.768
Si 3.639 -8.754 -4.343
Si 13.316 -2.852 -0.194
Si 11.090 -6.571 -2.729
Si 4.018 -2.921 0.188
Si -1.922 -8.865 7.372
Si 0.790 -6.370 -0.895
Si 9.495 5.312 2.094
Si 5.349 -6.861 -2.680
Si 12.938 -7.564 -0.361
Si 9.325 3.273 5.992
Si 16.171 1.165 -4.203
Si 5.234 -9.418 4.531
Si -2.910 -6.249 5.948
Si 8.130 -6.342 -1.554
Si 14.147 4.953 0.247
Si 2.937 -14.947 -0.438
Si 3.333 -11.928 -4.498
Si 15.689 -3.823 -4.445
Si 8.910 1.674 -1.233
O 7.811 2.772 5.694
O -0.072 -1.857 0.180
O 0.052 -12.599 -2.012
O 9.360 -9.250 4.305
O 12.368 -3.452 -6.434
O -4.342 -6.025 6.680
O 9.755 -3.158 -2.419
O 2.229 -8.224 -3.721
O 12.491 0.653 -1.144
O -0.274 -17.856 -2.841
O 4.340 -6.697 1.403
O 10.380 4.016 2.514
O 4.527 -4.534 6.032
O -5.020 -8.138 10.014
O -1.894 -5.108 6.497
O 6.785 -9.358 5.026
O 2.210 -6.483 -0.115
O 2.795 -4.209 -3.300
O 7.084 -4.747 5.328
O -0.400 -6.236 0.208
O 0.259 -4.204 7.726
O 11.839 -2.654 -3.946
O 2.503 -2.336 0.228
O 0.524 -7.712 -1.775
O 3.793 -8.191 -5.851
O 9.165 0.910 0.176
O 4.944 -10.886 3.891
O 9.317 4.897 5.983
O 10.244 6.689 2.523
O 8.821 -2.656 0.003
O 3.390 -12.363 -6.054
O 7.634 1.179 2.331
O 6.955 -6.967 -2.476
O 3.697 -10.365 -4.347
O 0.757 -5.061 -1.864
O -1.669 -18.392 -0.624
O 5.476 -3.044 4.111
O 2.728 -5.061 7.857
O 5.098 -2.890 -3.547
O 16.883 -3.448 -5.482
O 5.025 -5.555 -3.593
O 1.456 -14.280 -0.494
O 7.882 -4.745 -1.345
O 7.246 -2.834 2.136
O 4.434 -12.784 -3.674
O 4.005 -4.513 -0.107
O 2.280 -8.466 7.391
O 1.841 -12.237 -3.917
O 9.102 -11.221 2.517
O 0.734 -6.661 8.630
O 5.918 1.533 4.333
O 9.587 -5.088 4.477
O -0.225 -15.224 -2.358
O 9.183 -0.985 2.019
O 11.996 -7.372 -1.656
O 4.658 -2.641 1.642
O 1.386 -4.550 10.080
O 14.017 -5.077 -7.756
O 4.938 -8.292 3.400
O -3.818 -14.053 3.952
O 8.754 -8.733 1.773
O 14.370 -2.920 -4.730
O 5.277 -4.851 8.535
O 1.216 -2.434 -2.091
O -1.155 -14.054 -0.172
O 2.843 -16.548 -0.692
O 8.105 -7.071 -0.111
O -2.691 -8.625 8.788
O 4.243 -9.210 5.803
O -0.314 -8.858 7.613
O 4.893 -2.187 -0.967
O 4.608 -6.801 -1.234
O 8.154 -7.138 5.398
O -2.332 -7.730 6.286
O -3.052 -6.125 4.338
O 4.476 -6.950 7.145
O 5.867 -0.712 2.990
O 4.876 -8.207 -3.452
O 11.624 -5.034 -2.831
O 12.146 -2.914 -1.317
O 10.341 2.709 4.856
O -2.345 -10.323 6.785
O 6.879 -6.892 2.225
O 11.223 -7.297 -4.171
O 12.035 -6.097 -6.377
O 5.116 -5.650 3.714
O 10.256 1.357 2.560
O 7.282 -2.301 -2.137
O 9.784 -3.530 2.323
O 9.540 -6.615 -2.287
O 5.061 1.532 1.845
O 0.615 -10.144 -2.777
O 3.882 -14.320 -1.599
O 3.574 -14.624 1.018
O 9.398 -6.147 2.020
O -6.316 -10.029 8.638
```

Total DFT energy (no corrections) ... -7.905 eV/atom
Theoretical density ... 1.7 Mg/m³
Spin magnetization ... 0.0 μB/f.u.
Crystal system ... tetragonal

=====

(7)
Compound: RbTiCl3
Source: Materials Project
Functional: GGA-PBE
Structure: optimized geometry

Cell and atoms, written as extended XYZ:
```
10
Lattice="0.000 0.000 -5.602 -3.709 -6.424 0.000 -7.418 0.000 0.000" Properties=species:S:1:pos:R:3 pbc="T T T"
Rb -3.709 -2.142 -4.201
Rb -7.418 -4.283 -1.400
Ti 0.000 0.000 -2.801
Ti 0.000 0.000 0.000
Cl -1.815 -1.048 -1.400
Cl -7.418 -2.095 -4.201
Cl -5.524 -5.377 -4.201
Cl -5.604 -1.048 -1.400
Cl -9.313 -5.377 -4.201
Cl -3.709 -4.329 -1.400
```

Total DFT energy (no corrections) ... -4.545 eV/atom
Theoretical density ... 3.0 Mg/m³
Crystal system ... hexagonal